(1)
Computed, not measured: a relaxed PrPO4 crystal at the PBE-GGA level of DFT.

```
data_PrPO4
_chemical_formula_sum 'Pr4 P4 O16'
_cell_length_a 6.488
_cell_length_b 7.087
_cell_length_c 8.255
_cell_angle_alpha 90.00
_cell_angle_beta 125.89
_cell_angle_gamma 90.00
_symmetry_space_group_name_H-M 'P 1 21/c 1'
_symmetry_Int_Tables_number 14
loop_
_symmetry_equiv_pos_as_xyz
'x,y,z'
'-x,-y,-z'
'-x,y+1/2,-z+1/2'
'x,-y+1/2,z+1/2'
loop_
_atom_site_label
_atom_site_type_symbol
_atom_site_fract_x
_atom_site_fract_y
_atom_site_fract_z
Pr1 Pr 0.187 0.157 0.284
P1 P 0.308 0.661 0.197
O1 O 0.117 0.670 0.619
O2 O 0.189 0.505 0.251
O3 O 0.337 0.602 0.030
O4 O 0.417 0.211 0.126
```

Values from the calculation:
formation enthalpy at 0 K	-3446	meV per atom


(2)
Computed, not measured: a relaxed PrPO4 crystal at the PBE-GGA level of DFT.

```
data_PrPO4
_chemical_formula_sum 'Pr4 P4 O16'
_cell_length_a 7.221
_cell_length_b 7.221
_cell_length_c 6.280
_cell_angle_alpha 90.00
_cell_angle_beta 90.00
_cell_angle_gamma 90.00
_symmetry_space_group_name_H-M 'I 41/a m d'
_symmetry_Int_Tables_number 141
loop_
_symmetry_equiv_pos_as_xyz
'x,y,z'
'-x,-y,-z'
'-y+1/4,x+3/4,z+1/4'
'y+1/4,-x+3/4,-z+1/4'
'-x+1/2,-y,z+1/2'
'x+1/2,y,-z+1/2'
'y+1/4,-x+1/4,z+3/4'
'-y+1/4,x+1/4,-z+3/4'
'x,-y,-z'
'-x,y,z'
'-y+1/4,-x+1/4,-z+3/4'
'y+1/4,x+1/4,z+3/4'
'-x+1/2,y,-z+1/2'
'x+1/2,-y,z+1/2'
'y+1/4,x+3/4,-z+1/4'
'-y+1/4,-x+3/4,z+1/4'
'x+1/2,y+1/2,z+1/2'
'-x+1/2,-y+1/2,-z+1/2'
'-y+3/4,x+1/4,z+3/4'
'y+3/4,-x+1/4,-z+3/4'
'-x,-y+1/2,z'
'x,y+1/2,-z'
'y+3/4,-x+3/4,z+1/4'
'-y+3/4,x+3/4,-z+1/4'
'x+1/2,-y+1/2,-z+1/2'
'-x+1/2,y+1/2,z+1/2'
'-y+3/4,-x+3/4,-z+1/4'
'y+3/4,x+3/4,z+1/4'
'-x,y+1/2,-z'
'x,-y+1/2,z'
'y+3/4,x+1/4,-z+3/4'
'-y+3/4,-x+1/4,z+3/4'
loop_
_atom_site_label
_atom_site_type_symbol
_atom_site_fract_x
_atom_site_fract_y
_atom_site_fract_z
Pr1 Pr 0.000 0.250 0.375
P1 P 0.000 0.250 0.875
O1 O 0.000 0.080 0.722
```

Values from the calculation:
formation enthalpy at 0 K	-3435	meV per atom


(3)
Computed, not measured: a relaxed PrZnPO crystal at the PBE-GGA level of DFT.

```
data_PrZnPO
_chemical_formula_sum 'Pr6 Zn6 P6 O6'
_cell_length_a 4.0247
_cell_length_b 4.0247
_cell_length_c 31.4063
_cell_angle_alpha 90.00
_cell_angle_beta 90.00
_cell_angle_gamma 120.00
_symmetry_space_group_name_H-M 'R -3 m'
_symmetry_Int_Tables_number 166
_symmetry_space_group_name_Hall '-R 3 2"'
loop_
_atom_site_label
_atom_site_type_symbol
_atom_site_fract_x
_atom_site_fract_y
_atom_site_fract_z
Pr1 Pr 0.0000 0.0000 0.1184
Zn1 Zn 0.0000 0.0000 0.3040
P1 P 0.0000 0.0000 0.3853
O1 O 0.0000 0.0000 0.1950
```

Values from the calculation:
formation enthalpy at 0 K	-1980	meV per atom


(4)
Computed, not measured: a relaxed PrZr6P9O36 crystal at the PBE-GGA level of DFT.

```
data_PrZr6P9O36
_chemical_formula_sum 'Pr2 Zr12 P18 O72'
_cell_length_a 8.9179
_cell_length_b 8.9179
_cell_length_c 23.3883
_cell_angle_alpha 90.00
_cell_angle_beta 90.00
_cell_angle_gamma 120.00
_symmetry_space_group_name_H-M 'P -3 c 1'
_symmetry_Int_Tables_number 165
_symmetry_space_group_name_Hall '-P 3 2"c'
loop_
_atom_site_label
_atom_site_type_symbol
_atom_site_fract_x
_atom_site_fract_y
_atom_site_fract_z
Pr1 Pr 0.0000 0.0000 0.0000
Zr1 Zr 0.0000 0.0000 0.1507
Zr2 Zr 0.3333 0.6667 0.0249
Zr3 Zr 0.3333 0.6667 0.3131
P1 P 0.0000 0.2923 0.2500
P2 P 0.0519 0.3748 0.9202
O1 O 0.0046 0.1783 0.9175
O2 O 0.0303 0.2052 0.1969
O3 O 0.1174 0.4957 0.5714
O4 O 0.1415 0.4693 0.8652
O5 O 0.1595 0.4692 0.2604
O6 O 0.1718 0.4500 0.9726
```

Values from the calculation:
formation enthalpy at 0 K	-3240	meV per atom


(5)
Computed, not measured: a relaxed P2PtO7 crystal at the PBE-GGA level of DFT.

```
data_P2PtO7
_chemical_formula_sum 'P8 Pt4 O28'
_cell_length_a 7.204
_cell_length_b 8.040
_cell_length_c 9.514
_cell_angle_alpha 90.00
_cell_angle_beta 112.99
_cell_angle_gamma 90.00
_symmetry_space_group_name_H-M 'P 1 21/c 1'
_symmetry_Int_Tables_number 14
loop_
_symmetry_equiv_pos_as_xyz
'x,y,z'
'-x,-y,-z'
'-x,y+1/2,-z+1/2'
'x,-y+1/2,z+1/2'
loop_
_atom_site_label
_atom_site_type_symbol
_atom_site_fract_x
_atom_site_fract_y
_atom_site_fract_z
P1 P 0.068 0.180 0.320
P2 P 0.343 0.748 0.207
Pt1 Pt 0.000 0.000 0.000
Pt2 Pt 0.500 0.000 0.500
O1 O 0.058 0.186 0.155
O2 O 0.123 0.141 0.882
O3 O 0.150 0.633 0.181
O4 O 0.199 0.040 0.421
O5 O 0.278 0.601 0.600
O6 O 0.443 0.713 0.878
O7 O 0.497 0.638 0.176
```

Values from the calculation:
formation enthalpy at 0 K	-2081	meV per atom


(6)
Computed, not measured: a relaxed RbPO3 crystal at the PBE-GGA level of DFT.

```
data_RbPO3
_chemical_formula_sum 'Rb8 P8 O24'
_cell_length_a 12.288
_cell_length_b 4.621
_cell_length_c 14.571
_cell_angle_alpha 90.00
_cell_angle_beta 115.46
_cell_angle_gamma 90.00
_symmetry_space_group_name_H-M 'P 1 21/c 1'
_symmetry_Int_Tables_number 14
loop_
_symmetry_equiv_pos_as_xyz
'x,y,z'
'-x,-y,-z'
'-x,y+1/2,-z+1/2'
'x,-y+1/2,z+1/2'
loop_
_atom_site_label
_atom_site_type_symbol
_atom_site_fract_x
_atom_site_fract_y
_atom_site_fract_z
Rb1 Rb 0.068 0.214 0.379
Rb2 Rb 0.412 0.732 0.082
P1 P 0.213 0.182 0.164
P2 P 0.296 0.680 0.310
O1 O 0.083 0.213 0.141
O2 O 0.200 0.704 0.346
O3 O 0.256 0.248 0.585
O4 O 0.258 0.647 0.702
O5 O 0.300 0.147 0.769
O6 O 0.424 0.745 0.880
```

Values from the calculation:
formation enthalpy at 0 K	-2679	meV per atom


Look up the formation enthalpy at 0 K of the fifth one. -2081 meV per atom


Among the records above, which one has the highest formation enthalpy at 0 K? PrZnPO